{"formula": "LuTa3", "functional": "GGA-PBE", "state": "relaxed", "cell": [[6.2393, 0.0000, 0.0000], [-3.1196, 5.4034, 0.0000], [0.0000, 0.0000, 4.9914]], "species": ["Lu", "Lu", "Ta", "Ta", "Ta", "Ta", "Ta", "Ta"], "frac_coords": [[0.3333, 0.6667, 0.2500], [0.6667, 0.3333, 0.7500], [0.1495, 0.2990, 0.7500], [0.1495, 0.8505, 0.7500], [0.2990, 0.1495, 0.2500], [0.7010, 0.8505, 0.7500], [0.8505, 0.1495, 0.2500], [0.8505, 0.7010, 0.2500]], "formation_energy_kj_per_mol_atoms": 31.1, "mass_density_g_cm3": 14.17, "final_energy_ev_per_fu": -38.8}